First-principles (GGA-PBE) data for crystalline DyCuTe2 at its relaxed geometry, as listed in Materials Project.

POSCAR file:
```
DyCuTe2
1.0
4.3395 0.0000 0.0000
0.0000 6.9069 0.0000
0.0000 0.0791 7.4816
Dy Cu Te
2 2 4
direct
0.0000 0.0000 0.0000
0.5000 0.0000 0.5000
0.5000 0.3510 0.1624
0.5000 0.6490 0.8376
0.5000 0.7390 0.1748
0.0000 0.7341 0.6615
0.0000 0.2659 0.3385
0.5000 0.2610 0.8252
```

First-principles (GGA-PBE) data for crystalline DyCuTe2 at its relaxed geometry, as listed in Materials Project.

POSCAR file:
```
DyCuTe2
1.0
-2.1776 -3.7718 -0.0001
-4.3553 0.0000 -0.0001
-0.0002 -0.0001 -6.9306
Dy Cu Te
1 1 2
direct
0.0000 0.0000 0.9922
0.6667 0.6667 0.3684
0.6667 0.6667 0.7456
0.3333 0.3333 0.2638
```

First-principles (GGA-PBE) data for crystalline DyTlCu at its relaxed geometry, as listed in Materials Project.

Properties
**Total moment**: 0.00 μB/cell

POSCAR file:
```
DyTlCu
1.0
-0.0858 4.2481 -0.7657
1.1631 2.7447 3.0840
8.6609 -0.3294 -2.9733
Dy Tl Cu
2 2 2
direct
0.9971 0.0014 0.6810
0.0029 0.9986 0.3190
0.6678 0.6661 0.0948
0.3322 0.3339 0.9052
0.3317 0.3341 0.5046
0.6683 0.6659 0.4954
```

First-principles (GGA-PBE) data for crystalline DyTmCu2 at its relaxed geometry, as listed in Materials Project.

POSCAR file:
```
DyTmCu2
1.0
0.0000 3.4451 3.4451
3.4451 0.0000 3.4451
3.4451 3.4451 0.0000
Dy Tm Cu
1 1 2
direct
0.5000 0.5000 0.5000
0.0000 0.0000 0.0000
0.7500 0.7500 0.7500
0.2500 0.2500 0.2500
```

First-principles (GGA-PBE) data for crystalline DyYCu2 at its relaxed geometry, as listed in Materials Project.

POSCAR file:
```
DyYCu2
1.0
3.6706 0.2277 3.2589
1.2825 4.3204 1.9581
-0.9649 0.9389 4.7257
Dy Y Cu
1 1 2
direct
0.5000 0.5000 0.5000
0.0000 0.0000 0.0000
0.7500 0.7500 0.7500
0.2500 0.2500 0.2500
```

First-principles (GGA-PBE) data for crystalline ErCu at its relaxed geometry, as listed in Materials Project.

POSCAR file:
```
ErCu
1.0
-1.1426 0.9374 3.0998
-1.3059 -3.1414 0.4685
2.9634 -1.0229 1.4017
Er Cu
1 1
direct
0.5000 0.5000 0.5000
0.0000 0.0000 0.0000
```

First-principles (GGA-PBE) data for crystalline NaErCu2F8 at its relaxed geometry, as listed in Materials Project.

Properties
**Total moment**: 2.00 μB/cell

POSCAR file:
```
NaErCu2F8
1.0
-2.7137 2.7137 5.1584
2.7137 -2.7137 5.1584
2.7137 2.7137 -5.1584
Na Er Cu F
1 1 2 8
direct
0.5000 0.5000 0.0000
0.0000 0.0000 0.0000
0.7500 0.2500 0.5000
0.2500 0.7500 0.5000
0.4286 0.2880 0.4752
0.8129 0.9534 0.5248
0.2880 0.8129 0.8595
0.1871 0.7120 0.1405
0.9534 0.4286 0.1405
0.5714 0.0466 0.8595
0.0466 0.1871 0.4752
0.7120 0.5714 0.5248
```

First-principles (GGA-PBE) data for crystalline Er2Fe3Cu at its relaxed geometry, as listed in Materials Project.

Properties
**Total moment**: 4.83 μB/cell

POSCAR file:
```
Er2Fe3Cu
1.0
-0.7916 3.3042 -3.8933
0.6233 -1.4335 -4.9253
-4.0305 -0.5081 -3.1935
Er Fe Cu
2 3 1
direct
0.1227 0.1227 0.1227
0.8773 0.8773 0.8773
0.5000 0.0000 0.5000
0.0000 0.5000 0.5000
0.5000 0.5000 0.0000
0.5000 0.5000 0.5000
```

First-principles (GGA-PBE) data for crystalline Er2Ga3Cu at its relaxed geometry, as listed in Materials Project.

POSCAR file:
```
Er2Ga3Cu
1.0
2.1785 -3.7733 0.0000
2.1785 3.7733 0.0000
0.0000 0.0000 7.1379
Er Ga Cu
2 3 1
direct
0.3333 0.6667 0.7304
0.3333 0.6667 0.2609
0.6667 0.3333 0.4770
0.6667 0.3333 0.0457
0.0000 0.0000 0.9490
0.0000 0.0000 0.5370
```

First-principles (GGA-PBE) data for crystalline Sr2ErGaCu2O7 at its relaxed geometry, as listed in Materials Project.

Properties
**Total moment**: 0.00 μB/cell

POSCAR file:
```
Sr2ErGaCu2O7
1.0
-5.3805 0.2039 10.9553
-10.8539 0.6783 5.5446
7.8971 -4.2902 -8.2607
Sr Er Ga Cu O
4 2 2 4 14
direct
0.6350 0.6500 0.9829
0.3650 0.3480 0.0150
0.1670 0.1500 0.0150
0.8330 0.8480 0.9829
0.5000 0.5007 0.0007
0.0000 0.0007 0.0007
0.8184 0.2122 0.5307
0.1816 0.7122 0.3938
0.5715 0.0713 0.5015
0.4285 0.9300 0.4998
0.0698 0.5713 0.4998
0.9302 0.4300 0.5015
0.1349 0.3594 0.9943
0.8651 0.8594 0.2245
0.8133 0.3140 0.0010
0.1867 0.1877 0.5007
0.8130 0.8140 0.5007
0.1870 0.6877 0.0010
0.3112 0.8100 0.0010
0.6888 0.6898 0.4988
0.3090 0.3100 0.4988
0.6910 0.1898 0.0010
0.2209 0.7043 0.5725
0.7791 0.3517 0.4835
0.6318 0.2043 0.4835
0.3682 0.8517 0.5725
```

First-principles (GGA-PBE) data for crystalline Er3Cu4Ge4 at its relaxed geometry, as listed in Materials Project.

POSCAR file:
```
Er3Cu4Ge4
1.0
1.7177 -6.4366 4.3378
-4.1970 -1.7670 6.5161
0.2885 1.1739 -7.8572
Er Cu Ge
3 4 4
direct
0.8710 0.3710 0.5000
0.1290 0.6290 0.5000
0.5000 0.5000 0.0000
0.1371 0.8289 0.3082
0.5207 0.8289 0.6918
0.8629 0.1711 0.6918
0.4793 0.1711 0.3082
0.8066 0.0000 0.8066
0.2836 0.2836 0.0000
0.7164 0.7164 0.0000
0.1934 0.0000 0.1934
```

First-principles (GGA-PBE) data for crystalline ErCuGe at its relaxed geometry, as listed in Materials Project.

POSCAR file:
```
ErCuGe
1.0
2.1259 -3.6821 0.0000
2.1259 3.6821 0.0000
0.0000 0.0000 7.1038
Er Cu Ge
2 2 2
direct
0.0000 0.0000 0.7385
0.0000 0.0000 0.2385
0.6667 0.3333 0.5261
0.3333 0.6667 0.0261
0.3333 0.6667 0.4617
0.6667 0.3333 0.9617
```

First-principles (GGA-PBE) data for crystalline ErCuGe at its relaxed geometry, as listed in Materials Project.

Properties
**Total moment**: 0.00 μB/cell

POSCAR file:
```
ErCuGe
1.0
-2.1080 -3.6491 0.0000
-2.1102 3.6504 0.0000
0.0000 0.0000 -3.6692
Er Cu Ge
1 1 1
direct
0.9998 0.9997 0.0000
0.3333 0.6669 0.5000
0.6668 0.3333 0.5000
```

First-principles (GGA-PBE) data for crystalline ErCu2Ge2 at its relaxed geometry, as listed in Materials Project.

POSCAR file:
```
ErCu2Ge2
1.0
-0.9325 -2.9908 5.0144
-4.6211 -3.6161 0.7271
4.3162 1.1335 -3.8787
Er Cu Ge
1 2 2
direct
0.0000 0.0000 0.0000
0.2500 0.7500 0.5000
0.7500 0.2500 0.5000
0.6182 0.6182 0.0000
0.3818 0.3818 0.0000
```

First-principles (GGA-PBE) data for crystalline ErCuGe at its relaxed geometry, as listed in Materials Project.

Properties
**Total moment**: 0.00 μB/cell

POSCAR file:
```
ErCuGe
1.0
0.7159 2.1147 3.7080
-4.0545 -0.7801 -1.2985
0.0650 -6.2511 3.5524
Er Cu Ge
2 2 2
direct
0.0000 0.0000 0.2374
0.0000 0.0000 0.7626
0.3333 0.6667 0.0226
0.6667 0.3333 0.9774
0.6667 0.3333 0.5338
0.3333 0.6667 0.4662
```

First-principles (GGA-PBE) data for crystalline Er2CuGe2O8 at its relaxed geometry, as listed in Materials Project.

Properties
**Total moment**: 2.00 μB/cell

POSCAR file:
```
Er2CuGe2O8
1.0
4.5166 -0.0795 -2.4384
-3.8985 1.4476 -6.9863
0.4244 6.6879 5.8306
Er Cu Ge O
4 2 4 16
direct
0.1132 0.3011 0.7601
0.3532 0.5411 0.2399
0.3660 0.0445 0.2411
0.1250 0.8034 0.7589
0.5473 0.9249 0.5855
0.9618 0.3394 0.4145
0.7877 0.1623 0.0000
0.9710 0.8886 0.4212
0.5498 0.4675 0.5788
0.6876 0.6666 0.0000
0.1734 0.0970 0.4691
0.7042 0.6279 0.5309
0.4785 0.0626 0.8122
0.6663 0.2504 0.1878
0.4779 0.4908 0.0000
0.1956 0.7439 0.4824
0.7132 0.2615 0.5176
0.0050 0.7573 0.1841
0.8209 0.5731 0.8159
0.0013 0.3384 0.0000
0.4782 0.8373 0.0000
0.5949 0.8387 0.3382
0.2567 0.5005 0.6618
0.0106 0.9954 0.0000
0.9347 0.0049 0.6594
0.2753 0.3455 0.3406
```

First-principles (GGA-PBE) data for crystalline Er3CuGeS7 at its relaxed geometry, as listed in Materials Project.

Properties
**Total moment**: 0.00 μB/cell

POSCAR file:
```
Er3CuGeS7
1.0
4.8868 -8.4642 0.0000
4.8868 8.4642 0.0000
0.0000 0.0000 5.8610
Er Cu Ge S
6 2 2 14
direct
0.2216 0.3581 0.7556
0.7784 0.6419 0.2556
0.8635 0.2216 0.2556
0.1365 0.7784 0.7556
0.6419 0.8635 0.7556
0.3581 0.1365 0.2556
0.0000 0.0000 0.6727
0.0000 0.0000 0.1727
0.6667 0.3333 0.8357
0.3333 0.6667 0.3357
0.5197 0.4236 0.0000
0.7387 0.8960 0.2038
0.5764 0.0962 0.0000
0.0962 0.5197 0.5000
0.8426 0.7387 0.7038
0.1040 0.8426 0.2038
0.8960 0.1574 0.7038
0.3333 0.6667 0.9580
0.9038 0.4803 0.0000
0.6667 0.3333 0.4580
0.2613 0.1040 0.7038
0.4803 0.5764 0.5000
0.1574 0.2613 0.2038
0.4236 0.9038 0.5000
```

First-principles (GGA-PBE) data for crystalline ErInCu at its relaxed geometry, as listed in Materials Project.

POSCAR file:
```
ErInCu
1.0
-6.0979 1.9977 3.6900
-0.2424 -5.6653 -4.7578
0.9485 -2.4882 2.9145
Er In Cu
3 3 3
direct
0.0000 0.5892 0.5000
0.4108 0.4108 0.5000
0.5892 0.0000 0.5000
0.7452 0.7452 0.0000
0.0000 0.2548 0.0000
0.2548 0.0000 0.0000
0.3333 0.6667 0.0000
0.0000 0.0000 0.5000
0.6667 0.3333 0.0000
```

First-principles (GGA-PBE) data for crystalline Er2In3Cu at its relaxed geometry, as listed in Materials Project.

Properties
**Total moment**: 0.00 μB/cell

POSCAR file:
```
Er2In3Cu
1.0
2.3600 -4.0876 0.0000
2.3600 4.0876 0.0000
0.0000 0.0000 7.3942
Er In Cu
2 3 1
direct
0.3333 0.6667 0.7240
0.3333 0.6667 0.2640
0.6667 0.3333 0.4824
0.6667 0.3333 0.0522
0.0000 0.0000 0.9353
0.0000 0.0000 0.5421
```

First-principles (GGA-PBE) data for crystalline ErInCu2 at its relaxed geometry, as listed in Materials Project.

Properties
**Total moment**: 0.00 μB/cell

POSCAR file:
```
ErInCu2
1.0
-3.2976 -3.2976 0.0000
-3.2976 0.0000 -3.2976
0.0000 -3.2976 -3.2976
Er In Cu
1 1 2
direct
0.0000 0.0000 0.0000
0.5000 0.5000 0.5000
0.7500 0.7500 0.7500
0.2500 0.2500 0.2500
```

no.,ΔH_f (0 K) (eV per atom),calculated total energy (eV/atom)
1,-1.096,-4.633
2,-1.089,-4.626
3,-0.165,-3.855
4,-0.268,-4.588
5,-0.243,-5.061
6,-0.273,-4.607
7,-2.924,-5.066
8,-0.093,-6.534
9,-0.592,-4.312
10,-2.502,-6.271
11,-0.622,-5.040
12,-0.684,-5.114
13,-0.634,-5.064
14,-0.475,-4.877
15,-0.352,-4.782
16,-2.718,-7.070
17,-1.706,-5.694
18,-0.410,-4.217
19,-0.375,-3.956
20,-0.323,-4.203